Entry 1:
Here is a relaxed structure of CeYFe17 from Materials Project. Energies are from PBE-GGA.

Output
- Calculated formation energy: 0.10 eV per formula unit
- Crystal system: trigonal

Structure (POSCAR):
```
CeYFe17
1.0
4.240 2.448 4.168
-4.240 2.448 4.168
0.000 -4.896 4.168
Ce Y Fe
1 1 17
direct
0.000 0.000 0.000 Ce
0.683 0.683 0.683 Y
0.050 0.343 0.636 Fe
0.050 0.636 0.343 Fe
0.186 0.687 0.687 Fe
0.246 0.246 0.246 Fe
0.343 0.050 0.636 Fe
0.343 0.636 0.050 Fe
0.344 0.344 0.843 Fe
0.344 0.843 0.344 Fe
0.440 0.440 0.440 Fe
0.498 0.999 0.999 Fe
0.636 0.050 0.343 Fe
0.636 0.343 0.050 Fe
0.687 0.186 0.687 Fe
0.687 0.687 0.186 Fe
0.843 0.344 0.344 Fe
0.999 0.498 0.999 Fe
0.999 0.999 0.498 Fe
```

Entry 2:
Here is a relaxed structure of BaAlGaO4 from Materials Project. Energies are from PBE-GGA.

Output
- Calculated formation energy: -21.11 eV per formula unit
- Crystal system: monoclinic

Structure (POSCAR):
```
BaAlGaO4
1.0
4.648 -2.653 0.000
4.648 2.653 0.000
-0.159 0.000 9.089
Ba Al Ga O
2 2 2 8
direct
0.000 0.000 0.246 Ba
0.000 0.000 0.754 Ba
0.326 0.343 0.053 Al
0.657 0.674 0.947 Al
0.331 0.338 0.448 Ga
0.662 0.669 0.552 Ga
0.000 0.365 0.989 O
0.002 0.666 0.516 O
0.304 0.380 0.246 O
0.334 0.998 0.484 O
0.358 0.642 0.000 O
0.620 0.696 0.754 O
0.635 0.000 0.011 O
0.673 0.327 0.500 O
```

Entry 3:
Here is a relaxed structure of RbFeS2 from Materials Project. Energies are from PBE-GGA.

Output
- Calculated formation energy: -4.02 eV per formula unit
- Crystal system: orthorhombic

Structure (POSCAR):
```
RbFeS2
1.0
-2.681 3.447 5.799
2.681 -3.447 5.799
2.681 3.447 -5.799
Rb Fe S
2 2 4
direct
0.175 0.175 0.000 Rb
0.825 0.825 0.000 Rb
0.500 0.254 0.754 Fe
0.500 0.746 0.246 Fe
0.248 0.500 0.748 S
0.353 0.853 0.500 S
0.647 0.147 0.500 S
0.752 0.500 0.252 S
```

Entry 4:
Here is a relaxed structure of HoCdRh2 from Materials Project. Energies are from PBE-GGA.

Output
- Calculated formation energy: -2.33 eV per formula unit
- Crystal system: cubic

Structure (POSCAR):
```
HoCdRh2
1.0
0.000 3.318 3.318
3.318 0.000 3.318
3.318 3.318 0.000
Ho Cd Rh
1 1 2
direct
0.000 0.000 0.000 Ho
0.500 0.500 0.500 Cd
0.250 0.250 0.250 Rh
0.750 0.750 0.750 Rh
```